Cs2Se5: optimized geometry, r²SCAN.

Unit cell a=7.2081 b=7.5494 c=19.0595 alpha=90.00 beta=90.00 gamma=90.00
Fractional coordinates of all 28 atoms:
1 Cs 0.0805 0.2500 0.1610
2 Cs 0.1194 0.4180 0.5131
3 Cs 0.3806 0.5820 0.0131
4 Cs 0.4195 0.7500 0.6610
5 Cs 0.5805 0.2500 0.8390
6 Cs 0.6194 0.0820 0.4869
7 Cs 0.8806 0.9180 0.9869
8 Cs 0.9195 0.7500 0.3390
9 Se 0.0443 0.6277 0.8022
10 Se 0.0555 0.7538 0.1579
11 Se 0.0677 0.3758 0.8763
12 Se 0.0997 0.9224 0.5208
13 Se 0.2494 0.8464 0.8492
14 Se 0.2506 0.1536 0.3492
15 Se 0.4003 0.0776 0.0208
16 Se 0.4323 0.6242 0.3763
17 Se 0.4445 0.2462 0.6579
18 Se 0.4557 0.3723 0.3022
19 Se 0.5443 0.8723 0.1978
20 Se 0.5555 0.7462 0.8421
21 Se 0.5677 0.1242 0.1237
22 Se 0.5997 0.5776 0.4792
23 Se 0.7494 0.6536 0.1508
24 Se 0.7506 0.3464 0.6508
25 Se 0.9003 0.4224 0.9792
26 Se 0.9323 0.8758 0.6237
27 Se 0.9445 0.2538 0.3421
28 Se 0.9557 0.1277 0.6978

## Properties
space-group type: P2_12_12_1 (19)
crystal system: orthorhombic

HgMo6Cl14: optimized geometry, r²SCAN.

Unit cell a=12.9244 b=12.9244 c=12.9244 alpha=90.00 beta=90.00 gamma=90.00
Fractional coordinates of all 84 atoms:
1 Hg 0.0000 0.0000 0.0000
2 Hg 0.0000 0.5000 0.5000
3 Hg 0.5000 0.0000 0.5000
4 Hg 0.5000 0.5000 0.0000
5 Mo 0.0248 0.5306 0.8633
6 Mo 0.0248 0.9694 0.6367
7 Mo 0.0306 0.1367 0.5248
8 Mo 0.0306 0.3633 0.9752
9 Mo 0.1367 0.5248 0.0306
10 Mo 0.1367 0.9752 0.4694
11 Mo 0.3633 0.5248 0.4694
12 Mo 0.3633 0.9752 0.0306
13 Mo 0.4694 0.1367 0.9752
14 Mo 0.4694 0.3633 0.5248
15 Mo 0.4752 0.5306 0.6367
16 Mo 0.4752 0.9694 0.8633
17 Mo 0.5248 0.0306 0.1367
18 Mo 0.5248 0.4694 0.3633
19 Mo 0.5306 0.6367 0.4752
20 Mo 0.5306 0.8633 0.0248
21 Mo 0.6367 0.0248 0.9694
22 Mo 0.6367 0.4752 0.5306
23 Mo 0.8633 0.0248 0.5306
24 Mo 0.8633 0.4752 0.9694
25 Mo 0.9694 0.6367 0.0248
26 Mo 0.9694 0.8633 0.4752
27 Mo 0.9752 0.0306 0.3633
28 Mo 0.9752 0.4694 0.1367
29 Cl 0.0631 0.5788 0.6828
30 Cl 0.0631 0.9212 0.8172
31 Cl 0.0768 0.6254 0.1829
32 Cl 0.0768 0.8746 0.3171
33 Cl 0.0788 0.1828 0.9369
34 Cl 0.0788 0.3172 0.5631
35 Cl 0.1254 0.6829 0.9232
36 Cl 0.1254 0.8171 0.5768
37 Cl 0.1362 0.1362 0.3638
38 Cl 0.1362 0.3638 0.1362
39 Cl 0.1829 0.0768 0.6254
40 Cl 0.1829 0.4232 0.8746
41 Cl 0.1828 0.5631 0.4212
42 Cl 0.1828 0.9369 0.0788
43 Cl 0.3171 0.0768 0.8746
44 Cl 0.3171 0.4232 0.6254
45 Cl 0.3172 0.5631 0.0788
46 Cl 0.3172 0.9369 0.4212
47 Cl 0.3638 0.1362 0.1362
48 Cl 0.3638 0.3638 0.3638
49 Cl 0.3746 0.6829 0.5768
50 Cl 0.3746 0.8171 0.9232
51 Cl 0.4212 0.1828 0.5631
52 Cl 0.4212 0.3172 0.9369
53 Cl 0.4232 0.6254 0.3171
54 Cl 0.4232 0.8746 0.1829
55 Cl 0.4369 0.5788 0.8172
56 Cl 0.4369 0.9212 0.6828
57 Cl 0.5631 0.0788 0.3172
58 Cl 0.5631 0.4212 0.1828
59 Cl 0.5768 0.1254 0.8171
60 Cl 0.5768 0.3746 0.6829
61 Cl 0.5788 0.6828 0.0631
62 Cl 0.5788 0.8172 0.4369
63 Cl 0.6254 0.1829 0.0768
64 Cl 0.6254 0.3171 0.4232
65 Cl 0.6362 0.6362 0.6362
66 Cl 0.6362 0.8638 0.8638
67 Cl 0.6828 0.0631 0.5788
68 Cl 0.6828 0.4369 0.9212
69 Cl 0.6829 0.5768 0.3746
70 Cl 0.6829 0.9232 0.1254
71 Cl 0.8172 0.0631 0.9212
72 Cl 0.8172 0.4369 0.5788
73 Cl 0.8171 0.5768 0.1254
74 Cl 0.8171 0.9232 0.3746
75 Cl 0.8638 0.6362 0.8638
76 Cl 0.8638 0.8638 0.6362
77 Cl 0.8746 0.1829 0.4232
78 Cl 0.8746 0.3171 0.0768
79 Cl 0.9212 0.6828 0.4369
80 Cl 0.9212 0.8172 0.0631
81 Cl 0.9232 0.1254 0.6829
82 Cl 0.9232 0.3746 0.8171
83 Cl 0.9369 0.0788 0.1828
84 Cl 0.9369 0.4212 0.3172

## Properties
space-group type: Pn-3 (201)
crystal system: cubic

U8CrSe17: optimized geometry, r²SCAN.

Unit cell a=8.2658 b=8.2658 c=10.9806 alpha=99.55 beta=99.55 gamma=64.76
Fractional coordinates of all 26 atoms:
1 U 0.1825 0.6975 0.7978
2 U 0.2048 0.2048 0.9548
3 U 0.3025 0.8175 0.2022
4 U 0.3223 0.3223 0.4804
5 U 0.6777 0.6777 0.5196
6 U 0.6975 0.1825 0.7978
7 U 0.7952 0.7952 0.0452
8 U 0.8175 0.3025 0.2022
9 Cr 0.0000 0.0000 0.5000
10 Se 0.0000 0.0000 0.0000
11 Se 0.0535 0.6777 0.5269
12 Se 0.0555 0.0555 0.7259
13 Se 0.1770 0.5670 0.0354
14 Se 0.2115 0.2115 0.2202
15 Se 0.3010 0.3010 0.7429
16 Se 0.3223 0.9465 0.4731
17 Se 0.4330 0.8230 0.9646
18 Se 0.4785 0.4785 0.3311
19 Se 0.5215 0.5215 0.6689
20 Se 0.5670 0.1770 0.0354
21 Se 0.6777 0.0535 0.5269
22 Se 0.6990 0.6990 0.2571
23 Se 0.7885 0.7885 0.7798
24 Se 0.8230 0.4330 0.9646
25 Se 0.9445 0.9445 0.2741
26 Se 0.9465 0.3223 0.4731

## Properties
space-group type: C2/m (12)
crystal system: monoclinic

HoZnSn: optimized geometry, r²SCAN.

Unit cell a=4.4394 b=4.4394 c=15.9795 alpha=90.00 beta=90.00 gamma=120.00
Fractional coordinates of all 12 atoms:
1 Ho 0.0000 0.0000 0.0000
2 Ho 0.0000 0.0000 0.2500
3 Ho 0.0000 0.0000 0.5000
4 Ho 0.0000 0.0000 0.7500
5 Zn 0.3333 0.6667 0.1627
6 Zn 0.3333 0.6667 0.3373
7 Zn 0.6667 0.3333 0.6627
8 Zn 0.6667 0.3333 0.8373
9 Sn 0.3333 0.6667 0.6138
10 Sn 0.3333 0.6667 0.8862
11 Sn 0.6667 0.3333 0.1138
12 Sn 0.6667 0.3333 0.3862

## Properties
space-group type: P6_3/mmc (194)
crystal system: hexagonal

UFe3B2: optimized geometry, r²SCAN.

Unit cell a=5.0673 b=5.0673 c=2.8064 alpha=90.00 beta=90.00 gamma=120.00
Fractional coordinates of all 6 atoms:
1 U 0.0000 0.0000 0.0000
2 Fe 0.0000 0.5000 0.5000
3 Fe 0.5000 0.0000 0.5000
4 Fe 0.5000 0.5000 0.5000
5 B 0.3333 0.6667 0.0000
6 B 0.6667 0.3333 0.0000

## Properties
space-group type: P6/mmm (191)
crystal system: hexagonal

Rb3NbS4: optimized geometry, r²SCAN.

Unit cell a=9.6532 b=11.1339 c=9.7780 alpha=90.00 beta=90.00 gamma=90.00
Fractional coordinates of all 32 atoms:
1 Rb 0.0543 0.0430 0.2106
2 Rb 0.0543 0.4570 0.2106
3 Rb 0.1400 0.7500 0.4209
4 Rb 0.3600 0.2500 0.9209
5 Rb 0.4457 0.5430 0.7106
6 Rb 0.4457 0.9570 0.7106
7 Rb 0.5543 0.0430 0.2894
8 Rb 0.5543 0.4570 0.2894
9 Rb 0.6400 0.7500 0.0791
10 Rb 0.8600 0.2500 0.5791
11 Rb 0.9457 0.5430 0.7894
12 Rb 0.9457 0.9570 0.7894
13 Nb 0.2177 0.7500 0.9864
14 Nb 0.2823 0.2500 0.4864
15 Nb 0.7177 0.7500 0.5136
16 Nb 0.7823 0.2500 0.0136
17 S 0.9997 0.2500 0.9186
18 S 0.0003 0.7500 0.0814
19 S 0.1664 0.0802 0.5506
20 S 0.1664 0.4198 0.5506
21 S 0.1969 0.7500 0.7532
22 S 0.3031 0.2500 0.2532
23 S 0.3336 0.5802 0.0506
24 S 0.3336 0.9198 0.0506
25 S 0.4997 0.2500 0.5814
26 S 0.5003 0.7500 0.4186
27 S 0.6664 0.0802 0.9494
28 S 0.6664 0.4198 0.9494
29 S 0.6969 0.7500 0.7468
30 S 0.8031 0.2500 0.2468
31 S 0.8336 0.5802 0.4494
32 S 0.8336 0.9198 0.4494

## Properties
space-group type: Pnma (62)
crystal system: orthorhombic

K2MgH4: optimized geometry, r²SCAN.

Unit cell a=7.3455 b=7.3455 c=7.3455 alpha=148.33 beta=148.33 gamma=45.40
Fractional coordinates of all 7 atoms:
1 K 0.1439 0.1439 0.0000
2 K 0.8561 0.8561 0.0000
3 Mg 0.5000 0.5000 0.0000
4 H 0.0000 0.5000 0.5000
5 H 0.3519 0.3519 0.0000
6 H 0.5000 0.0000 0.5000
7 H 0.6481 0.6481 0.0000

## Properties
space-group type: I4/mmm (139)
crystal system: tetragonal

SmP3O9: optimized geometry, r²SCAN.

Unit cell a=6.9851 b=6.9851 c=7.2291 alpha=90.00 beta=90.00 gamma=105.22
Fractional coordinates of all 26 atoms:
1 Sm 0.1235 0.1235 0.0000
2 Sm 0.8765 0.8765 0.5000
3 P 0.2507 0.2507 0.5000
4 P 0.3133 0.6647 0.0445
5 P 0.3353 0.6867 0.4555
6 P 0.6647 0.3133 0.9555
7 P 0.6867 0.3353 0.5445
8 P 0.7493 0.7493 0.0000
9 O 0.1322 0.1726 0.3303
10 O 0.1726 0.1322 0.6697
11 O 0.1748 0.7877 0.4634
12 O 0.2123 0.8252 0.0366
13 O 0.2165 0.4699 0.9614
14 O 0.2524 0.4711 0.5450
15 O 0.3743 0.6257 0.2500
16 O 0.4699 0.2165 0.0386
17 O 0.4711 0.2524 0.4550
18 O 0.5289 0.7476 0.9550
19 O 0.5301 0.7835 0.5386
20 O 0.6257 0.3743 0.7500
21 O 0.7476 0.5289 0.0450
22 O 0.7835 0.5301 0.4614
23 O 0.7877 0.1748 0.5366
24 O 0.8252 0.2123 0.9634
25 O 0.8274 0.8678 0.1697
26 O 0.8678 0.8274 0.8303

## Properties
space-group type: C222_1 (20)
crystal system: orthorhombic

GdErRu2: optimized geometry, r²SCAN.

Unit cell a=4.7811 b=4.7811 c=4.7811 alpha=60.00 beta=60.00 gamma=60.00
Fractional coordinates of all 4 atoms:
1 Gd 0.0000 0.0000 0.0000
2 Er 0.5000 0.5000 0.5000
3 Ru 0.2500 0.2500 0.2500
4 Ru 0.7500 0.7500 0.7500

## Properties
space-group type: Fm-3m (225)
crystal system: cubic

NaYF4: optimized geometry, r²SCAN.

Unit cell a=5.9464 b=6.8929 c=6.8983 alpha=61.41 beta=64.53 gamma=64.49
Fractional coordinates of all 18 atoms:
1 Na 0.0000 0.0000 0.0000
2 Na 0.0006 0.5212 0.5105
3 Na 0.6663 0.9437 0.7395
4 Y 0.3327 0.0176 0.3330
5 Y 0.3376 0.5183 0.8277
6 Y 0.6704 0.4390 0.2397
7 F 0.0899 0.2544 0.0620
8 F 0.0926 0.7621 0.5746
9 F 0.3129 0.4051 0.2130
10 F 0.3142 0.8993 0.7111
11 F 0.3768 0.7965 0.1466
12 F 0.3866 0.3387 0.6009
13 F 0.5882 0.1458 0.9609
14 F 0.6107 0.6496 0.4544
15 F 0.6958 0.0625 0.3330
16 F 0.6978 0.5263 0.8651
17 F 0.9282 0.2247 0.4855
18 F 0.9299 0.6807 0.0270

## Properties
space-group type: P1 (1)
crystal system: triclinic

Li9Co7O16: optimized geometry, r²SCAN.

Unit cell a=4.8560 b=5.6548 c=9.7393 alpha=89.34 beta=80.47 gamma=73.35
Fractional coordinates of all 32 atoms:
1 Li 0.0000 0.0000 0.0000
2 Li 0.0000 0.0000 0.5000
3 Li 0.0000 0.5000 0.0000
4 Li 0.0012 0.2452 0.2433
5 Li 0.4889 0.6318 0.8783
6 Li 0.4992 0.1260 0.3740
7 Li 0.5008 0.8740 0.6260
8 Li 0.5111 0.3682 0.1217
9 Li 0.9988 0.7548 0.7567
10 Co 0.0000 0.5000 0.5000
11 Co 0.0008 0.7529 0.2464
12 Co 0.5005 0.1229 0.8776
13 Co 0.4999 0.3746 0.6258
14 Co 0.5001 0.6254 0.3742
15 Co 0.4995 0.8771 0.1224
16 Co 0.9992 0.2471 0.7536
17 O 0.2378 0.4633 0.3209
18 O 0.2387 0.2112 0.5710
19 O 0.2540 0.6975 0.0785
20 O 0.2536 0.9644 0.8099
21 O 0.2575 0.4151 0.8061
22 O 0.2583 0.9165 0.3044
23 O 0.2611 0.6643 0.5544
24 O 0.2798 0.1699 0.0569
25 O 0.7202 0.8301 0.9431
26 O 0.7389 0.3357 0.4456
27 O 0.7417 0.0835 0.6956
28 O 0.7425 0.5849 0.1939
29 O 0.7464 0.0356 0.1901
30 O 0.7460 0.3025 0.9215
31 O 0.7613 0.7888 0.4290
32 O 0.7622 0.5367 0.6791

## Properties
space-group type: P-1 (2)
energy above the lowest structure with this stoichiometry: 0.29 kJ/mol of atoms
crystal system: triclinic

H: optimized geometry, r²SCAN.

Unit cell a=3.1906 b=3.1906 c=6.3138 alpha=90.00 beta=90.00 gamma=117.78
Fractional coordinates of all 4 atoms:
1 H 0.0678 0.9322 0.9995
2 H 0.0678 0.9322 0.5005
3 H 0.9322 0.0678 0.0005
4 H 0.9322 0.0678 0.4995

## Properties
space-group type: Cmcm (63)
energy above the lowest structure with this stoichiometry: 0.72 kJ/mol of atoms
crystal system: orthorhombic

Sm2ZrS5: optimized geometry, r²SCAN.

Unit cell a=11.6339 b=7.8997 c=7.3436 alpha=90.00 beta=90.00 gamma=90.00
Fractional coordinates of all 32 atoms:
1 Sm 0.1774 0.0016 0.0286
2 Sm 0.1774 0.4984 0.0286
3 Sm 0.3226 0.5016 0.5286
4 Sm 0.3226 0.9984 0.5286
5 Sm 0.6774 0.0016 0.4714
6 Sm 0.6774 0.4984 0.4714
7 Sm 0.8226 0.5016 0.9714
8 Sm 0.8226 0.9984 0.9714
9 Zr 0.0073 0.7500 0.5764
10 Zr 0.4927 0.2500 0.0764
11 Zr 0.5073 0.7500 0.9236
12 Zr 0.9927 0.2500 0.4236
13 S 0.0038 0.7500 0.9464
14 S 0.0894 0.0362 0.6631
15 S 0.0894 0.4638 0.6631
16 S 0.1833 0.7500 0.3383
17 S 0.2071 0.2500 0.3159
18 S 0.2929 0.7500 0.8159
19 S 0.3167 0.2500 0.8383
20 S 0.4106 0.5362 0.1631
21 S 0.4106 0.9638 0.1631
22 S 0.4962 0.2500 0.4464
23 S 0.5038 0.7500 0.5536
24 S 0.5894 0.0362 0.8369
25 S 0.5894 0.4638 0.8369
26 S 0.6833 0.7500 0.1617
27 S 0.7071 0.2500 0.1841
28 S 0.7929 0.7500 0.6841
29 S 0.8167 0.2500 0.6617
30 S 0.9106 0.5362 0.3369
31 S 0.9106 0.9638 0.3369
32 S 0.9962 0.2500 0.0536

## Properties
space-group type: Pnma (62)
crystal system: orthorhombic

La2SbO2: optimized geometry, r²SCAN.

Unit cell a=7.5782 b=7.5782 c=7.5782 alpha=149.03 beta=44.36 gamma=149.05
Fractional coordinates of all 5 atoms:
1 La 0.1626 0.0000 0.1626
2 La 0.8374 0.0000 0.8374
3 Sb 0.4971 0.9971 0.5000
4 O 0.2497 0.4997 0.7500
5 O 0.7497 0.4997 0.2500

## Properties
space-group type: Imm2 (44)
crystal system: orthorhombic

| no. | DFT formation energy (eV per atom) | VASP energy (eV per atom) |
| --- | --- | --- |
| 1 | -0.733 | -18.13 |
| 2 | -1.032 | -14.93 |
| 3 | -1.538 | -36.07 |
| 4 | -0.656 | -22.84 |
| 5 | -0.217 | -23.20 |
| 6 | -1.439 | -13.77 |
| 7 | -0.349 | -4.64 |
| 8 | -2.752 | -11.25 |
| 9 | -0.324 | -32.37 |
| 10 | -4.001 | -10.06 |
| 11 | -1.772 | -8.32 |
| 12 | 0.008 | -3.45 |
| 13 | -2.191 | -17.49 |
| 14 | -2.989 | -22.42 |